First-principles (PBE-GGA) data for a geometry-optimized MgH10CO8 structure, as listed in Materials Project.

Properties
The formation energy is -31.227 eV per formula unit. The space group is P2_1/c (14). The calculation puts the total energy at -110.07 eV/f.u.

a b c (Å): 7.2931 7.6799 12.6418
angles (deg): 90.00 101.45 90.00
Last column: nearest neighbours and their distance in Å.
Fractional coordinates of all 80 atoms:
Mg 0.0000 0.0000 0.0000  6 O 2.04-2.14
Mg 0.0000 0.5000 0.5000  6 O 2.04-2.14
Mg 0.5000 0.0000 0.5000  6 O 2.10-2.12
Mg 0.5000 0.5000 0.0000  6 O 2.10-2.12
H 0.0344 0.1697 0.1908  1 O 1.00
H 0.0344 0.3303 0.6908  1 O 1.00
H 0.0921 0.6595 0.0589  1 O 0.99
H 0.0921 0.8405 0.5589  1 O 0.99
H 0.0960 0.0004 0.8046  1 O 0.99
H 0.0960 0.4996 0.3046  1 O 0.99
H 0.1190 0.2001 0.4236  1 O 1.00
H 0.1190 0.2999 0.9236  1 O 1.00
H 0.2597 0.0591 0.6416  1 O 1.01
H 0.2597 0.4409 0.1416  1 O 1.01
H 0.2968 0.7196 0.3983  1 O 0.99
H 0.2968 0.7804 0.8983  1 O 0.99
H 0.3569 0.5748 0.6158  1 O 0.99
H 0.3569 0.9252 0.1158  1 O 0.99
H 0.3608 0.6285 0.1443  1 O 1.03
H 0.3608 0.8715 0.6443  1 O 1.03
H 0.3747 0.1056 0.0586  1 O 0.99
H 0.3747 0.3944 0.5586  1 O 0.99
H 0.4414 0.7128 0.8276  1 O 1.01
H 0.4414 0.7872 0.3276  1 O 1.01
H 0.5586 0.2128 0.6724  1 O 1.01
H 0.5586 0.2872 0.1724  1 O 1.01
H 0.6253 0.6056 0.4414  1 O 0.99
H 0.6253 0.8944 0.9414  1 O 0.99
H 0.6392 0.1285 0.3557  1 O 1.03
H 0.6392 0.3715 0.8557  1 O 1.03
H 0.6431 0.0748 0.8842  1 O 0.99
H 0.6431 0.4252 0.3842  1 O 0.99
H 0.7032 0.2196 0.1017  1 O 0.99
H 0.7032 0.2804 0.6017  1 O 0.99
H 0.7403 0.5591 0.8584  1 O 1.01
H 0.7403 0.9409 0.3584  1 O 1.01
H 0.8810 0.7001 0.0764  1 O 1.00
H 0.8810 0.7999 0.5764  1 O 1.00
H 0.9040 0.9996 0.1954  1 O 0.99
H 0.9040 0.5004 0.6954  1 O 0.99
H 0.9079 0.1595 0.4411  1 O 0.99
H 0.9079 0.3405 0.9411  1 O 0.99
H 0.9656 0.6697 0.3092  1 O 1.00
H 0.9656 0.8303 0.8092  1 O 1.00
C 0.3471 0.2485 0.8079  3 O 1.29-1.31
C 0.3471 0.2515 0.3079  3 O 1.29-1.31
C 0.6529 0.7485 0.6921  3 O 1.29-1.31
C 0.6529 0.7515 0.1921  3 O 1.29-1.31
O 0.0101 0.2474 0.4522  2 H 0.99-1.00
O 0.0101 0.2526 0.9522  2 H 0.99-1.00
O 0.0645 0.5930 0.3521  2 H 0.99-1.00
O 0.0645 0.9070 0.8521  2 H 0.99-1.00
O 0.2082 0.1801 0.7407  1 C 1.30
O 0.2082 0.3199 0.2407  1 C 1.30
O 0.2880 0.0081 0.0618  2 H 0.99
O 0.2880 0.4919 0.5618  2 H 0.99
O 0.2930 0.5354 0.0928  2 H 1.01-1.03
O 0.2930 0.9646 0.5928  2 H 1.01-1.03
O 0.3187 0.1586 0.3884  1 C 1.29
O 0.3187 0.3414 0.8884  1 C 1.29
O 0.4188 0.7214 0.9040  2 H 0.99-1.01
O 0.4188 0.7786 0.4040  2 H 0.99-1.01
O 0.4809 0.7224 0.7056  1 C 1.31
O 0.4809 0.7776 0.2056  1 C 1.31
O 0.5191 0.2224 0.7944  1 C 1.31
O 0.5191 0.2776 0.2944  1 C 1.31
O 0.5812 0.2214 0.5960  2 H 0.99-1.01
O 0.5812 0.2786 0.0960  2 H 0.99-1.01
O 0.6813 0.6586 0.1116  1 C 1.29
O 0.6813 0.8414 0.6116  1 C 1.29
O 0.7070 0.0354 0.4072  2 H 1.01-1.03
O 0.7070 0.4646 0.9072  2 H 1.01-1.03
O 0.7120 0.5081 0.4382  2 H 0.99
O 0.7120 0.9919 0.9382  2 H 0.99
O 0.7918 0.6801 0.7593  1 C 1.30
O 0.7918 0.8199 0.2593  1 C 1.30
O 0.9355 0.0930 0.1479  2 H 0.99-1.00
O 0.9355 0.4070 0.6479  2 H 0.99-1.00
O 0.9899 0.7474 0.0478  2 H 0.99-1.00
O 0.9899 0.7526 0.5478  2 H 0.99-1.00